VASP calculation (GGA-PBE) on a relaxed NaNdP2H2CO7 crystal.

Results
The calculation puts the formation energy at -2.05 eV per atom. The calculation puts the final energy at -6.535 eV/atom.

a b c (Å): 6.832 15.300 6.751
angles (deg): 90.00 91.50 90.00
Element x y z (fractional)
Na (0.199, 0.029, 0.139)
Na (0.199, 0.471, 0.639)
Na (0.801, 0.529, 0.361)
Na (0.801, 0.971, 0.861)
Nd (0.325, 0.602, 0.101)
Nd (0.325, 0.898, 0.601)
Nd (0.675, 0.102, 0.399)
Nd (0.675, 0.398, 0.899)
P (0.178, 0.095, 0.633)
P (0.178, 0.405, 0.133)
P (0.470, 0.658, 0.605)
P (0.470, 0.842, 0.105)
P (0.530, 0.158, 0.895)
P (0.530, 0.342, 0.395)
P (0.822, 0.595, 0.867)
P (0.822, 0.905, 0.367)
H (0.186, 0.204, 0.888)
H (0.186, 0.296, 0.388)
H (0.313, 0.239, 0.676)
H (0.313, 0.261, 0.176)
H (0.687, 0.739, 0.824)
H (0.687, 0.761, 0.324)
H (0.814, 0.704, 0.612)
H (0.814, 0.796, 0.112)
C (0.291, 0.183, 0.776)
C (0.291, 0.317, 0.276)
C (0.709, 0.683, 0.724)
C (0.709, 0.817, 0.224)
O (0.005, 0.633, 0.972)
O (0.005, 0.867, 0.472)
O (0.081, 0.661, 0.344)
O (0.081, 0.839, 0.844)
O (0.134, 0.019, 0.776)
O (0.134, 0.481, 0.276)
O (0.324, 0.060, 0.479)
O (0.324, 0.440, 0.979)
O (0.356, 0.599, 0.744)
O (0.356, 0.901, 0.244)
O (0.372, 0.748, 0.571)
O (0.372, 0.752, 0.071)
O (0.489, 0.112, 0.092)
O (0.489, 0.388, 0.592)
O (0.511, 0.612, 0.408)
O (0.511, 0.888, 0.908)
O (0.628, 0.248, 0.929)
O (0.628, 0.252, 0.429)
O (0.644, 0.099, 0.756)
O (0.644, 0.401, 0.256)
O (0.676, 0.560, 0.021)
O (0.676, 0.940, 0.521)
O (0.866, 0.519, 0.724)
O (0.866, 0.981, 0.224)
O (0.919, 0.161, 0.156)
O (0.919, 0.339, 0.656)
O (0.995, 0.133, 0.528)
O (0.995, 0.367, 0.028)

VASP calculation (GGA-PBE) on a relaxed Cs2NaAs7 crystal.

Results
The calculation puts the formation energy at -0.36 eV per atom. The calculation puts the final energy at -3.930 eV/atom.

a b c (Å): 12.084 11.264 10.371
angles (deg): 90.00 90.01 90.00
Element x y z (fractional)
Cs (0.013, 0.197, 0.459)
Cs (0.013, 0.303, 0.959)
Cs (0.267, 0.502, 0.356)
Cs (0.267, 0.998, 0.856)
Cs (0.733, 0.002, 0.144)
Cs (0.733, 0.498, 0.644)
Cs (0.987, 0.697, 0.041)
Cs (0.987, 0.803, 0.541)
Na (0.460, 0.691, 0.946)
Na (0.460, 0.809, 0.446)
Na (0.540, 0.191, 0.554)
Na (0.540, 0.309, 0.054)
As (0.097, 0.001, 0.176)
As (0.097, 0.499, 0.676)
As (0.210, 0.650, 0.784)
As (0.210, 0.850, 0.284)
As (0.221, 0.165, 0.185)
As (0.221, 0.335, 0.685)
As (0.256, 0.544, 0.985)
As (0.256, 0.956, 0.485)
As (0.329, 0.135, 0.397)
As (0.329, 0.365, 0.897)
As (0.387, 0.635, 0.669)
As (0.387, 0.865, 0.169)
As (0.415, 0.075, 0.185)
As (0.415, 0.425, 0.685)
As (0.585, 0.575, 0.315)
As (0.585, 0.925, 0.815)
As (0.613, 0.135, 0.831)
As (0.613, 0.365, 0.331)
As (0.671, 0.635, 0.103)
As (0.671, 0.865, 0.603)
As (0.744, 0.044, 0.515)
As (0.744, 0.456, 0.015)
As (0.779, 0.665, 0.315)
As (0.779, 0.835, 0.815)
As (0.790, 0.150, 0.716)
As (0.790, 0.350, 0.216)
As (0.903, 0.501, 0.324)
As (0.903, 0.999, 0.824)